Crystalline Mg2TaMnO6 at its relaxed geometry. Source: the Materials Project, functional PBE with a Hubbard U.

Cell: 5.234 10.992 7.521 Å, 90.00 90.00 85.20°
Fractional coordinates of all 40 atoms:
Mg  0.020  0.475  0.250
Mg  0.020  0.974  0.250
Mg  0.980  0.025  0.750
Mg  0.980  0.526  0.750
Mg  0.500  0.219  0.250
Mg  0.500  0.719  0.250
Mg  0.500  0.281  0.750
Mg  0.500  0.781  0.750
Ta  0.000  0.250  0.000
Ta  0.000  0.750  0.000
Ta  0.000  0.250  0.500
Ta  0.000  0.750  0.500
Mn  0.500  0.500  0.000
Mn  0.500  0.500  0.500
Mn  0.500  0.000  0.000
Mn  0.500  0.000  0.500
O  0.138  0.223  0.750
O  0.138  0.723  0.750
O  0.862  0.277  0.250
O  0.862  0.777  0.250
O  0.630  0.034  0.250
O  0.630  0.534  0.250
O  0.370  0.466  0.750
O  0.370  0.966  0.750
O  0.823  0.412  0.564
O  0.823  0.912  0.564
O  0.177  0.088  0.436
O  0.177  0.588  0.436
O  0.823  0.412  0.936
O  0.823  0.912  0.936
O  0.177  0.088  0.064
O  0.177  0.588  0.064
O  0.302  0.333  0.429
O  0.302  0.833  0.429
O  0.698  0.167  0.929
O  0.698  0.667  0.929
O  0.698  0.167  0.571
O  0.698  0.667  0.571
O  0.302  0.333  0.071
O  0.302  0.833  0.071

=====

Crystalline KTl2CrF6 at its relaxed geometry. Source: the Materials Project, functional PBE with a Hubbard U.

Cell: 6.340 6.340 6.340 Å, 60.00 60.00 60.00°
Fractional coordinates of all 10 atoms:
K  0.000  0.000  0.000
Tl  0.250  0.250  0.250
Tl  0.750  0.750  0.750
Cr  0.500  0.500  0.500
F  0.282  0.282  0.718
F  0.282  0.718  0.282
F  0.282  0.718  0.718
F  0.718  0.282  0.282
F  0.718  0.282  0.718
F  0.718  0.718  0.282

=====

Crystalline LiMn3O2F6 at its relaxed geometry. Source: the Materials Project, functional PBE with a Hubbard U.

Cell: 5.202 6.986 7.643 Å, 100.59 90.94 90.37°
Fractional coordinates of all 24 atoms:
Li  0.220  0.332  0.158
Li  0.780  0.668  0.842
Mn  0.246  0.329  0.670
Mn  0.264  0.814  0.682
Mn  0.281  0.834  0.179
Mn  0.719  0.166  0.821
Mn  0.736  0.186  0.318
Mn  0.754  0.671  0.330
O  0.107  0.575  0.691
O  0.409  0.078  0.696
O  0.591  0.922  0.304
O  0.893  0.425  0.309
F  0.043  0.298  0.907
F  0.090  0.075  0.197
F  0.097  0.811  0.436
F  0.409  0.311  0.434
F  0.420  0.575  0.183
F  0.430  0.811  0.921
F  0.570  0.189  0.079
F  0.580  0.425  0.817
F  0.591  0.689  0.566
F  0.903  0.189  0.564
F  0.910  0.925  0.803
F  0.957  0.702  0.093

E above lowest polymorph   3.7 kJ/mol of atoms

=====

Crystalline V3O7 at its relaxed geometry. Source: the Materials Project, functional PBE with a Hubbard U.

Cell: 10.768 10.768 9.554 Å, 90.00 90.00 120.00°
Fractional coordinates of all 60 atoms:
V  0.115  0.312  0.105
V  0.115  0.803  0.395
V  0.159  0.318  0.750
V  0.159  0.841  0.750
V  0.197  0.312  0.395
V  0.197  0.885  0.105
V  0.312  0.115  0.605
V  0.312  0.197  0.895
V  0.318  0.159  0.250
V  0.682  0.841  0.750
V  0.688  0.803  0.105
V  0.688  0.885  0.395
V  0.803  0.115  0.895
V  0.803  0.688  0.605
V  0.841  0.159  0.250
V  0.841  0.682  0.250
V  0.885  0.197  0.605
V  0.885  0.688  0.895
O  0.033  0.290  0.295
O  0.033  0.742  0.205
O  0.078  0.254  0.564
O  0.078  0.824  0.936
O  0.157  0.471  0.065
O  0.157  0.685  0.435
O  0.176  0.254  0.936
O  0.176  0.922  0.564
O  0.244  0.488  0.750
O  0.244  0.756  0.750
O  0.254  0.078  0.064
O  0.254  0.176  0.436
O  0.258  0.290  0.205
O  0.258  0.967  0.295
O  0.290  0.033  0.795
O  0.290  0.258  0.705
O  0.315  0.471  0.435
O  0.315  0.843  0.065
O  0.471  0.157  0.565
O  0.471  0.315  0.935
O  0.488  0.244  0.250
O  0.512  0.756  0.750
O  0.529  0.685  0.065
O  0.529  0.843  0.435
O  0.685  0.157  0.935
O  0.685  0.529  0.565
O  0.710  0.742  0.295
O  0.710  0.967  0.205
O  0.742  0.033  0.705
O  0.742  0.710  0.795
O  0.746  0.824  0.564
O  0.746  0.922  0.936
O  0.756  0.244  0.250
O  0.756  0.512  0.250
O  0.824  0.078  0.436
O  0.824  0.746  0.064
O  0.843  0.315  0.565
O  0.843  0.529  0.935
O  0.922  0.176  0.064
O  0.922  0.746  0.436
O  0.967  0.258  0.795
O  0.967  0.710  0.705

E above lowest polymorph   10.6 kJ/mol of atoms

=====

| no. | ΔH_f (0 K) (kJ/mol of formula units) | V (Å³/atom) | spin magnetization (μB per cell) |
| --- | --- | --- | --- |
| 1 | -2746 | 10.78 | 0.0 |
| 2 | -2587 | 18.02 | 3.0 |
| 3 | -3014 | 11.38 | 24.0 |
| 4 | -2150 | 15.99 | 6.0 |